Entry 1:
Below is TbY3 after structural relaxation, with properties calculated at the PBE level.

POSCAR file:
```
TbY3
1.0
-3.7330 1.7255 -2.9366
-3.3514 -2.6385 2.7098
-0.6080 3.9494 3.0934
Tb Y
1 3
direct
0.0000 0.0000 0.0000
0.0000 0.5000 0.5000
0.5000 0.0000 0.5000
0.5000 0.5000 0.0000
```

Calculated values
Energy relative to the elements = 0.027 eV/atom
Space group = Pm-3m (221)
E = -0.21980 hartree per atom



Entry 2:
Below is Tm6Al43Mo4 after structural relaxation, with properties calculated at the PBE level.

POSCAR file:
```
Tm6Al43Mo4
1.0
-6.6956 8.4728 2.2517
-1.0805 -9.4981 5.5053
11.3127 5.7248 12.0972
Tm Al Mo
12 86 8
direct
0.4689 0.4689 0.9047
0.5311 0.0000 0.9047
0.0000 0.5311 0.9047
0.5311 0.5311 0.0953
0.4689 0.0000 0.0953
0.0000 0.4689 0.0953
0.5311 0.5311 0.4047
0.4689 0.0000 0.4047
0.0000 0.4689 0.4047
0.4689 0.4689 0.5953
0.5311 0.0000 0.5953
0.0000 0.5311 0.5953
0.8419 0.2367 0.8367
0.7633 0.6052 0.8367
0.3948 0.1581 0.8367
0.2367 0.8419 0.8367
0.6052 0.7633 0.8367
0.1581 0.3948 0.8367
0.1581 0.7633 0.1633
0.2367 0.3948 0.1633
0.6052 0.8419 0.1633
0.7633 0.1581 0.1633
0.3948 0.2367 0.1633
0.8419 0.6052 0.1633
0.1581 0.7633 0.3367
0.2367 0.3948 0.3367
0.6052 0.8419 0.3367
0.7633 0.1581 0.3367
0.3948 0.2367 0.3367
0.8419 0.6052 0.3367
0.8419 0.2367 0.6633
0.7633 0.6052 0.6633
0.3948 0.1581 0.6633
0.2367 0.8419 0.6633
0.6052 0.7633 0.6633
0.1581 0.3948 0.6633
0.8407 0.8407 0.3853
0.1593 0.0000 0.3853
0.0000 0.1593 0.3853
0.1593 0.1593 0.6147
0.8407 0.0000 0.6147
0.0000 0.8407 0.6147
0.1593 0.1593 0.8853
0.8407 0.0000 0.8853
0.0000 0.8407 0.8853
0.8407 0.8407 0.1147
0.1593 0.0000 0.1147
0.0000 0.1593 0.1147
0.7454 0.7454 0.9695
0.2546 0.0000 0.9695
0.0000 0.2546 0.9695
0.2546 0.2546 0.0305
0.7454 0.0000 0.0305
0.0000 0.7454 0.0305
0.2546 0.2546 0.4695
0.7454 0.0000 0.4695
0.0000 0.7454 0.4695
0.7454 0.7454 0.5305
0.2546 0.0000 0.5305
0.0000 0.2546 0.5305
0.8527 0.4487 0.7500
0.5513 0.4040 0.7500
0.5960 0.1473 0.7500
0.4487 0.8527 0.7500
0.4040 0.5513 0.7500
0.1473 0.5960 0.7500
0.1473 0.5513 0.2500
0.4487 0.5960 0.2500
0.4040 0.8527 0.2500
0.5513 0.1473 0.2500
0.5960 0.4487 0.2500
0.8527 0.4040 0.2500
0.7530 0.2470 0.0000
0.7530 0.5060 0.0000
0.4940 0.2470 0.0000
0.2470 0.7530 0.0000
0.5060 0.7530 0.0000
0.2470 0.4940 0.0000
0.2470 0.7530 0.5000
0.2470 0.4940 0.5000
0.5060 0.7530 0.5000
0.7530 0.2470 0.5000
0.4940 0.2470 0.5000
0.7530 0.5060 0.5000
0.6667 0.3333 0.8739
0.3333 0.6667 0.8739
0.3333 0.6667 0.1261
0.6667 0.3333 0.1261
0.3333 0.6667 0.3739
0.6667 0.3333 0.3739
0.6667 0.3333 0.6261
0.3333 0.6667 0.6261
0.8528 0.8528 0.7500
0.1472 0.0000 0.7500
0.0000 0.1472 0.7500
0.1472 0.1472 0.2500
0.8528 0.0000 0.2500
0.0000 0.8528 0.2500
0.2716 0.2716 0.7500
0.7284 0.0000 0.7500
0.0000 0.7284 0.7500
0.7284 0.7284 0.2500
0.2716 0.0000 0.2500
0.0000 0.2716 0.2500
0.0000 0.0000 0.0000
0.0000 0.0000 0.5000
```

Calculated values
Energy relative to the elements = -0.308 eV/atom
Space group = P6_3/mcm (193)
M_tot = 0.43 Bohr magnetons per cell
E = -0.17168 hartree per atom